(1)
Te3MoWS | PBE-GGA | optimized geometry

ΔE to the lowest computed polymorph (meV/atom): 0
Total magnetization (μB per formula unit): 0.0
Symmetry: No. 156

Lattice parameters (Å, degrees): 3.4506 3.4506 39.3334 90.00 90.00 120.00
Fractional coordinates of all 12 atoms:
Te1 0.0000 0.0000 0.0000
Te2 0.0000 0.0000 0.0941
Te3 0.0000 0.0000 0.3754
Te4 0.0000 0.0000 0.4701
Te5 0.3333 0.6667 0.8120
Te6 0.3333 0.6667 0.9061
Mo1 0.0000 0.0000 0.8591
Mo2 0.3333 0.6667 0.0471
W1 0.0000 0.0000 0.2349
W2 0.3333 0.6667 0.4227
S1 0.3333 0.6667 0.1969
S2 0.3333 0.6667 0.2728

---

(2)
Ba2P4H6O13 | PBE-GGA | optimized geometry

Total magnetization (μB per formula unit): 2.1
Symmetry: No. 14

Lattice parameters (Å, degrees): 11.5153 8.9964 17.8240 90.00 127.88 90.00
Fractional coordinates of all 100 atoms:
Ba1 0.2009 0.0319 0.4861
Ba2 0.2009 0.4681 0.9861
Ba3 0.2391 0.5049 0.4772
Ba4 0.2391 0.9951 0.9772
Ba5 0.7609 0.0049 0.0228
Ba6 0.7609 0.4951 0.5228
Ba7 0.7991 0.5319 0.0139
Ba8 0.7991 0.9681 0.5139
P1 0.0749 0.7184 0.7484
P2 0.0749 0.7816 0.2484
P3 0.1096 0.1890 0.1086
P4 0.1096 0.3110 0.6086
P5 0.4569 0.2293 0.4352
P6 0.4569 0.2707 0.9352
P7 0.4863 0.6392 0.7303
P8 0.4863 0.8608 0.2303
P9 0.5137 0.1392 0.7697
P10 0.5137 0.3608 0.2697
P11 0.5431 0.7293 0.0648
P12 0.5431 0.7707 0.5648
P13 0.8904 0.6890 0.3914
P14 0.8904 0.8110 0.8914
P15 0.9251 0.2184 0.7516
P16 0.9251 0.2816 0.2516
H1 0.1842 0.6788 0.1202
H2 0.1842 0.8212 0.6202
H3 0.1893 0.6965 0.7419
H4 0.1893 0.8035 0.2419
H5 0.1978 0.2496 0.2007
H6 0.1978 0.2504 0.7007
H7 0.2277 0.5353 0.1808
H8 0.2277 0.9647 0.6808
H9 0.3664 0.1295 0.3592
H10 0.3664 0.3705 0.8592
H11 0.4611 0.2148 0.2395
H12 0.4611 0.2852 0.7395
H13 0.5389 0.7148 0.2605
H14 0.5389 0.7852 0.7605
H15 0.6336 0.6295 0.1408
H16 0.6336 0.8705 0.6408
H17 0.7723 0.0353 0.3192
H18 0.7723 0.4647 0.8192
H19 0.8022 0.7496 0.2993
H20 0.8022 0.7504 0.7993
H21 0.8107 0.1965 0.7581
H22 0.8107 0.3035 0.2581
H23 0.8158 0.1788 0.3798
H24 0.8158 0.3212 0.8798
O1 0.0420 0.7343 0.9499
O2 0.0420 0.7657 0.4499
O3 0.0704 0.0272 0.1140
O4 0.0704 0.4728 0.6140
O5 0.0707 0.2306 0.8509
O6 0.0707 0.2694 0.3509
O7 0.0821 0.5910 0.8094
O8 0.0821 0.9090 0.3094
O9 0.1130 0.6437 0.3110
O10 0.1130 0.8563 0.8110
O11 0.1498 0.5776 0.1181
O12 0.1498 0.9224 0.6181
O13 0.1915 0.2080 0.0673
O14 0.1915 0.2920 0.5673
O15 0.3273 0.6433 0.6433
O16 0.3273 0.8567 0.1433
O17 0.3833 0.6930 0.0144
O18 0.3833 0.8070 0.5144
O19 0.4019 0.2493 0.9927
O20 0.4019 0.2507 0.4927
O21 0.4057 0.0686 0.7954
O22 0.4057 0.4314 0.2954
O23 0.4200 0.1019 0.8861
O24 0.4200 0.3981 0.3861
O25 0.4588 0.0402 0.6859
O26 0.4588 0.4598 0.1859
O27 0.5412 0.5402 0.8141
O28 0.5412 0.9598 0.3141
O29 0.5800 0.6019 0.6139
O30 0.5800 0.8981 0.1139
O31 0.5943 0.5686 0.7046
O32 0.5943 0.9314 0.2046
O33 0.5981 0.7493 0.5073
O34 0.5981 0.7507 0.0073
O35 0.6167 0.1930 0.4856
O36 0.6167 0.3070 0.9856
O37 0.6727 0.1433 0.8567
O38 0.6727 0.3567 0.3567
O39 0.8085 0.7080 0.4327
O40 0.8085 0.7920 0.9327
O41 0.8502 0.0776 0.3819
O42 0.8502 0.4224 0.8819
O43 0.8870 0.1437 0.1890
O44 0.8870 0.3563 0.6890
O45 0.9179 0.0910 0.6906
O46 0.9179 0.4090 0.1906
O47 0.9293 0.7306 0.6491
O48 0.9293 0.7694 0.1491
O49 0.9296 0.5272 0.3860
O50 0.9296 0.9728 0.8860
O51 0.9580 0.2343 0.5501
O52 0.9580 0.2657 0.0501

---

(3)
K2U3H4O6F8 | PBE-GGA | optimized geometry

Total magnetization (μB per formula unit): 4.0
Symmetry: No. 40

Lattice parameters (Å, degrees): 13.3509 8.3265 8.3265 118.30 90.00 90.00
Fractional coordinates of all 46 atoms:
K1 0.2500 0.0101 0.9899
K2 0.2500 0.4679 0.7256
K3 0.7500 0.7256 0.4679
K4 0.7500 0.9899 0.0101
U1 0.0000 0.3489 0.3489
U2 0.0238 0.7532 0.1612
U3 0.4762 0.7532 0.1612
U4 0.5000 0.3489 0.3489
U5 0.5238 0.1612 0.7532
U6 0.9762 0.1612 0.7532
H1 0.0000 0.6557 0.6557
H2 0.2500 0.1166 0.4113
H3 0.2500 0.3585 0.9981
H4 0.2500 0.7428 0.6076
H5 0.5000 0.6557 0.6557
H6 0.7500 0.4113 0.1166
H7 0.7500 0.6076 0.7428
H8 0.7500 0.9981 0.3585
O1 0.0933 0.0507 0.7550
O2 0.1270 0.4044 0.3188
O3 0.1344 0.7676 0.2900
O4 0.3656 0.7676 0.2900
O5 0.3730 0.4044 0.3188
O6 0.4067 0.0507 0.7550
O7 0.5933 0.7550 0.0507
O8 0.6270 0.3188 0.4044
O9 0.6344 0.2900 0.7676
O10 0.8656 0.2900 0.7676
O11 0.8730 0.3188 0.4044
O12 0.9067 0.7550 0.0507
F1 0.0474 0.4418 0.9701
F2 0.0542 0.3176 0.5945
F3 0.0547 0.0563 0.2152
F4 0.1190 0.7352 0.9339
F5 0.3810 0.7352 0.9339
F6 0.4453 0.0563 0.2152
F7 0.4458 0.3176 0.5945
F8 0.4526 0.4418 0.9701
F9 0.5474 0.9701 0.4418
F10 0.5542 0.5945 0.3176
F11 0.5547 0.2152 0.0563
F12 0.6190 0.9339 0.7352
F13 0.8810 0.9339 0.7352
F14 0.9453 0.2152 0.0563
F15 0.9458 0.5945 0.3176
F16 0.9526 0.9701 0.4418

---

(4)
TiInNi2 | PBE-GGA | optimized geometry

Total magnetization (μB per formula unit): 0.0
Symmetry: No. 225

Lattice parameters (Å, degrees): 4.3320 4.3320 4.3320 60.00 60.00 60.00
Fractional coordinates of all 4 atoms:
Ti1 0.0000 0.0000 0.0000
In1 0.5000 0.5000 0.5000
Ni1 0.2500 0.2500 0.2500
Ni2 0.7500 0.7500 0.7500

---

(5)
PrZrF7 | PBE-GGA | optimized geometry

Symmetry: No. 4

Lattice parameters (Å, degrees): 6.3531 5.8854 8.5512 90.00 101.47 90.00
Fractional coordinates of all 18 atoms:
Pr1 0.1574 0.0000 0.1874
Pr2 0.8426 0.5000 0.8126
Zr1 0.3115 0.0087 0.7242
Zr2 0.6885 0.5087 0.2758
F1 0.0511 0.6851 0.0262
F2 0.0518 0.8007 0.7139
F3 0.1263 0.2961 0.7169
F4 0.2568 0.0060 0.4810
F5 0.3580 0.0139 0.9677
F6 0.4324 0.7210 0.2691
F7 0.4705 0.2485 0.2613
F8 0.5295 0.7485 0.7387
F9 0.5676 0.2210 0.7309
F10 0.6420 0.5139 0.0323
F11 0.7432 0.5060 0.5190
F12 0.8737 0.7961 0.2831
F13 0.9482 0.3007 0.2861
F14 0.9489 0.1851 0.9738

---

(6)
TmSi3Rh5 | PBE-GGA | optimized geometry

Total magnetization (μB per formula unit): 0.0
Symmetry: No. 176

Lattice parameters (Å, degrees): 15.6152 15.6152 3.8699 90.00 90.00 120.00
Fractional coordinates of all 54 atoms:
Tm1 0.1001 0.7058 0.2500
Tm2 0.2942 0.3943 0.2500
Tm3 0.3943 0.1001 0.7500
Tm4 0.6057 0.8999 0.2500
Tm5 0.7058 0.6057 0.7500
Tm6 0.8999 0.2942 0.7500
Si1 0.0613 0.4319 0.2500
Si2 0.1190 0.8685 0.7500
Si3 0.1315 0.2505 0.7500
Si4 0.2392 0.6813 0.7500
Si5 0.2505 0.1190 0.2500
Si6 0.3187 0.5579 0.7500
Si7 0.3706 0.9387 0.2500
Si8 0.4319 0.3706 0.7500
Si9 0.4421 0.7608 0.7500
Si10 0.5579 0.2392 0.2500
Si11 0.5681 0.6294 0.2500
Si12 0.6294 0.0613 0.7500
Si13 0.6813 0.4421 0.2500
Si14 0.7495 0.8810 0.7500
Si15 0.7608 0.3187 0.2500
Si16 0.8685 0.7495 0.2500
Si17 0.8810 0.1315 0.2500
Si18 0.9387 0.5681 0.7500
Rh1 0.0283 0.8876 0.2500
Rh2 0.0439 0.2710 0.2500
Rh3 0.0751 0.5390 0.7500
Rh4 0.1124 0.1407 0.2500
Rh5 0.1407 0.0283 0.7500
Rh6 0.1541 0.4141 0.7500
Rh7 0.2234 0.5709 0.2500
Rh8 0.2271 0.9561 0.2500
Rh9 0.2600 0.8459 0.7500
Rh10 0.2710 0.2271 0.7500
Rh11 0.3475 0.7766 0.2500
Rh12 0.4141 0.2600 0.2500
Rh13 0.4291 0.6525 0.2500
Rh14 0.4610 0.5362 0.7500
Rh15 0.4638 0.9249 0.7500
Rh16 0.5362 0.0751 0.2500
Rh17 0.5390 0.4638 0.2500
Rh18 0.5709 0.3475 0.7500
Rh19 0.5859 0.7400 0.7500
Rh20 0.6525 0.2234 0.7500
Rh21 0.7290 0.7729 0.2500
Rh22 0.7400 0.1541 0.2500
Rh23 0.7729 0.0439 0.7500
Rh24 0.7766 0.4291 0.7500
Rh25 0.8459 0.5859 0.2500
Rh26 0.8593 0.9717 0.2500
Rh27 0.8876 0.8593 0.7500
Rh28 0.9249 0.4610 0.2500
Rh29 0.9561 0.7290 0.7500
Rh30 0.9717 0.1124 0.7500

---

Number 1: energy relative to the elements -0.3831 eV/atom, calculated volume 405.6 Å³/cell. Number 2: energy relative to the elements -1.9122 eV/atom, calculated volume 1457.3 Å³/cell. Number 3: energy relative to the elements -2.5536 eV/atom, calculated volume 815.0 Å³/cell. Number 4: energy relative to the elements -0.3379 eV/atom, calculated volume 57.5 Å³/cell. Number 5: energy relative to the elements -4.2093 eV/atom, calculated volume 313.4 Å³/cell. Number 6: energy relative to the elements -0.9570 eV/atom, calculated volume 817.2 Å³/cell.